Entry 1:
{
  "formula": "Li7Mn2Co3O12",
  "functional": "GGA+U",
  "state": "optimized geometry",
  "cell": [[-3.2880, -3.8362, 0.4355], [1.2320, 2.7716, 4.0641], [-8.0357, 5.6896, -0.3512]],
  "species": ["Mn", "Mn", "O", "O", "O", "O", "O", "O", "O", "O", "O", "O", "O", "O", "Li", "Li", "Li", "Li", "Li", "Li", "Li", "Co", "Co", "Co"],
  "frac_coords": [[0.1659, 0.8341, 0.5000], [0.8341, 0.1659, 0.5000], [0.9716, 0.2947, 0.1136], [0.7053, 0.0284, 0.8864], [0.0284, 0.7053, 0.8864], [0.3710, 0.3710, 0.8821], [0.5375, 0.1793, 0.3884], [0.6290, 0.6290, 0.1179], [0.8207, 0.4625, 0.6116], [0.4625, 0.8207, 0.6116], [0.2947, 0.9716, 0.1136], [0.1793, 0.5375, 0.3884], [0.1024, 0.1024, 0.6115], [0.8976, 0.8976, 0.3885], [0.5824, 0.9113, 0.2540], [0.5000, 0.5000, 0.5000], [0.4176, 0.0887, 0.7460], [0.9113, 0.5824, 0.2540], [0.7445, 0.7445, 0.7486], [0.2555, 0.2555, 0.2514], [0.0887, 0.4176, 0.7460], [0.0000, 0.0000, 0.0000], [0.6654, 0.3346, 0.0000], [0.3346, 0.6654, 0.0000]],
  "vol_a3_per_atom": 8.98,
  "spacegroup": "No. 12",
  "relative_energy_mev_per_atom": 0.0,
  "delta_e_f_ev_per_atom": -1.933
}

***

Entry 2:
{
  "formula": "Li4MnCo2O7",
  "functional": "GGA+U",
  "state": "optimized geometry",
  "cell": [[5.5858, -0.1647, -1.9814], [0.8981, 5.9145, -2.7245], [-0.2538, -0.1655, 7.7211]],
  "species": ["Li", "Li", "Li", "Li", "Li", "Li", "Li", "Li", "Mn", "Mn", "Co", "Co", "Co", "Co", "O", "O", "O", "O", "O", "O", "O", "O", "O", "O", "O", "O", "O", "O"],
  "frac_coords": [[0.3481, 0.7121, 0.5647], [0.7141, 0.4328, 0.1436], [0.5012, 0.0009, 0.0012], [0.6440, 0.2915, 0.4248], [0.2153, 0.4314, 0.1414], [0.0709, 0.1445, 0.7123], [0.9232, 0.8509, 0.2849], [0.7910, 0.5703, 0.8710], [0.1377, 0.2856, 0.4262], [0.0014, 0.0042, 0.0020], [0.8481, 0.7062, 0.5619], [0.5749, 0.1499, 0.7218], [0.2857, 0.5711, 0.8568], [0.4422, 0.8400, 0.2789], [0.7347, 0.9950, 0.5059], [0.1737, 0.8457, 0.8001], [0.9682, 0.4208, 0.6250], [0.0347, 0.5621, 0.3746], [0.8544, 0.1415, 0.2168], [0.4335, 0.4237, 0.6378], [0.2930, 0.1444, 0.2109], [0.2566, 0.0138, 0.4884], [0.3922, 0.2984, 0.9110], [0.5399, 0.5863, 0.3690], [0.5990, 0.7260, 0.0814], [0.8950, 0.2603, 0.9264], [0.7098, 0.8684, 0.8000], [0.1173, 0.7221, 0.0612]],
  "vol_a3_per_atom": 8.96,
  "spacegroup": "No. 1",
  "relative_energy_mev_per_atom": 30.2,
  "delta_e_f_ev_per_atom": -1.854
}

***

Entry 3:
{
  "formula": "Li7Mn2Co3O12",
  "functional": "GGA+U",
  "state": "optimized geometry",
  "cell": [[-0.0550, 1.3522, -2.6343], [-1.7697, 0.9363, 2.1823], [20.8019, 18.3617, 8.9906]],
  "species": ["Li", "Li", "Li", "Li", "Li", "Li", "Li", "O", "O", "O", "O", "O", "O", "O", "O", "O", "O", "O", "O", "Co", "Co", "Co", "Mn", "Mn"],
  "frac_coords": [[0.6667, 0.3333, 0.0929], [0.3333, 0.6667, 0.1663], [0.0000, 0.0000, 0.2469], [0.3333, 0.6667, 0.4146], [0.3333, 0.6667, 0.9123], [0.0000, 0.0000, 0.7541], [0.6667, 0.3333, 0.5794], [0.6667, 0.3333, 0.2078], [0.3333, 0.6667, 0.7963], [0.0000, 0.0000, 0.6284], [0.3333, 0.6667, 0.5374], [0.0000, 0.0000, 0.3721], [0.3333, 0.6667, 0.0353], [0.6667, 0.3333, 0.9620], [0.6667, 0.3333, 0.7041], [0.0000, 0.0000, 0.1250], [0.0000, 0.0000, 0.8706], [0.3333, 0.6667, 0.2971], [0.6667, 0.3333, 0.4646], [0.6667, 0.3333, 0.3334], [0.0000, 0.0000, 0.4996], [0.6667, 0.3333, 0.8333], [0.0000, 0.0000, 0.0001], [0.3333, 0.6667, 0.6663]],
  "vol_a3_per_atom": 9.23,
  "spacegroup": "No. 156",
  "relative_energy_mev_per_atom": 206.9,
  "delta_e_f_ev_per_atom": -1.727
}

***

Entry 4:
{
  "formula": "Li7Mn2Co3O12",
  "functional": "GGA+U",
  "state": "optimized geometry",
  "cell": [[2.8826, 0.1265, 0.1656], [-0.2565, 5.0850, -0.7557], [0.4693, -0.3732, 14.8753]],
  "species": ["Co", "Co", "Co", "Li", "Li", "Li", "Li", "Li", "Li", "Li", "Mn", "Mn", "O", "O", "O", "O", "O", "O", "O", "O", "O", "O", "O", "O"],
  "frac_coords": [[0.1649, 0.1648, 0.6690], [0.6664, 0.6643, 0.6684], [0.3352, 0.3348, 0.3319], [0.2472, 0.7535, 0.5048], [0.4328, 0.9216, 0.1581], [0.5700, 0.0768, 0.8388], [0.7475, 0.2582, 0.5076], [0.4995, 0.5006, 0.9988], [0.0776, 0.5662, 0.8435], [0.9310, 0.4320, 0.1462], [0.8370, 0.8336, 0.3323], [0.9984, 0.9994, 0.0002], [0.6073, 0.3609, 0.7442], [0.9625, 0.7355, 0.0773], [0.7191, 0.9719, 0.5898], [0.0359, 0.2611, 0.9228], [0.2226, 0.4680, 0.5884], [0.4653, 0.1905, 0.0750], [0.8705, 0.1107, 0.2609], [0.5292, 0.8117, 0.9266], [0.1091, 0.8573, 0.7419], [0.3055, 0.0182, 0.4070], [0.3680, 0.6501, 0.2591], [0.7975, 0.5581, 0.4074]],
  "vol_a3_per_atom": 9.05,
  "spacegroup": "No. 1",
  "relative_energy_mev_per_atom": 92.2,
  "delta_e_f_ev_per_atom": -1.841
}